[1]
A relaxed structure of Rb3I2Br. Source: the Materials Project database, functional r²SCAN.

abc: 8.887 8.887 8.887
angles: 146.59 131.70 60.00
Positions (direct):
Rb  0.345  0.345  0.000
Rb  0.000  0.000  0.000
Rb  0.655  0.655  0.000
I  0.169  0.669  0.500
I  0.831  0.331  0.500
Br  0.500  0.000  0.500

[2]
A relaxed structure of In4Br7. Source: the Materials Project database, functional r²SCAN.

abc: 7.686 7.686 31.685
angles: 82.87 82.87 59.09
Positions (direct):
In  0.174  0.676  0.976
In  0.455  0.963  0.126
In  0.037  0.545  0.374
In  0.676  0.174  0.476
In  0.367  0.915  0.315
In  0.184  0.816  0.750
In  0.545  0.037  0.874
In  0.826  0.324  0.024
In  0.633  0.085  0.685
In  0.500  0.000  0.000
In  0.915  0.367  0.815
In  0.963  0.455  0.626
In  0.324  0.826  0.524
In  0.000  0.500  0.500
In  0.816  0.184  0.250
In  0.085  0.633  0.185
Br  0.314  0.997  0.236
Br  0.510  0.864  0.663
Br  0.997  0.314  0.736
Br  0.741  0.688  0.950
Br  0.020  0.014  0.849
Br  0.136  0.490  0.837
Br  0.547  0.608  0.835
Br  0.003  0.686  0.264
Br  0.124  0.192  0.450
Br  0.620  0.236  0.950
Br  0.236  0.620  0.450
Br  0.608  0.547  0.335
Br  0.490  0.136  0.337
Br  0.986  0.980  0.651
Br  0.014  0.020  0.349
Br  0.808  0.876  0.050
Br  0.864  0.510  0.163
Br  0.764  0.380  0.550
Br  0.876  0.808  0.550
Br  0.453  0.392  0.165
Br  0.688  0.741  0.450
Br  0.980  0.986  0.151
Br  0.380  0.764  0.050
Br  0.312  0.259  0.550
Br  0.392  0.453  0.665
Br  0.259  0.312  0.050
Br  0.686  0.003  0.764
Br  0.192  0.124  0.950

[3]
A relaxed structure of InBr2. Source: the Materials Project database, functional r²SCAN.

abc: 7.997 10.394 10.512
angles: 90.00 90.00 90.00
Positions (direct):
In  0.750  0.000  0.819
In  0.326  0.750  0.750
In  0.250  0.000  0.181
In  0.674  0.250  0.250
In  0.174  0.250  0.750
In  0.250  0.500  0.319
In  0.826  0.750  0.250
In  0.750  0.500  0.681
Br  0.497  0.454  0.819
Br  0.503  0.546  0.181
Br  0.997  0.046  0.319
Br  0.843  0.311  0.548
Br  0.503  0.954  0.319
Br  0.343  0.311  0.452
Br  0.843  0.189  0.952
Br  0.343  0.189  0.048
Br  0.657  0.811  0.952
Br  0.997  0.454  0.181
Br  0.157  0.811  0.048
Br  0.497  0.046  0.681
Br  0.657  0.689  0.548
Br  0.003  0.546  0.819
Br  0.157  0.689  0.452
Br  0.003  0.954  0.681

[4]
A relaxed structure of In4Br7. Source: the Materials Project database, functional r²SCAN.

abc: 16.289 16.289 16.289
angles: 27.19 27.19 27.19
Positions (direct):
In  0.151  0.151  0.151
In  0.708  0.708  0.708
In  0.416  0.416  0.416
In  0.500  0.500  0.500
In  0.584  0.584  0.584
In  0.292  0.292  0.292
In  0.000  0.000  0.000
In  0.849  0.849  0.849
Br  0.137  0.632  0.632
Br  0.096  0.629  0.096
Br  0.096  0.096  0.629
Br  0.368  0.368  0.863
Br  0.371  0.904  0.904
Br  0.632  0.137  0.632
Br  0.632  0.632  0.137
Br  0.904  0.371  0.904
Br  0.654  0.654  0.654
Br  0.629  0.096  0.096
Br  0.904  0.904  0.371
Br  0.863  0.368  0.368
Br  0.346  0.346  0.346
Br  0.368  0.863  0.368

[5]
A relaxed structure of MnInBr3. Source: the Materials Project database, functional r²SCAN.

abc: 3.977 9.542 15.363
angles: 90.00 90.00 90.00
Positions (direct):
Mn  0.250  0.162  0.555
Mn  0.750  0.838  0.445
Mn  0.250  0.662  0.945
Mn  0.750  0.338  0.055
In  0.250  0.471  0.325
In  0.750  0.529  0.675
In  0.250  0.971  0.175
In  0.750  0.029  0.825
Br  0.750  0.479  0.899
Br  0.250  0.521  0.101
Br  0.750  0.979  0.601
Br  0.250  0.021  0.399
Br  0.750  0.826  0.003
Br  0.250  0.174  0.997
Br  0.750  0.326  0.497
Br  0.250  0.674  0.503
Br  0.750  0.223  0.209
Br  0.250  0.777  0.791
Br  0.750  0.723  0.291
Br  0.250  0.277  0.709

[6]
A relaxed structure of InSnBr3. Source: the Materials Project database, functional r²SCAN.

abc: 7.783 7.783 7.783
angles: 66.05 66.05 66.05
Positions (direct):
In  0.717  0.717  0.717
In  0.217  0.217  0.217
Sn  0.995  0.995  0.995
Sn  0.495  0.495  0.495
Br  0.812  0.116  0.331
Br  0.116  0.331  0.812
Br  0.331  0.812  0.116
Br  0.831  0.616  0.312
Br  0.312  0.831  0.616
Br  0.616  0.312  0.831

[7]
A relaxed structure of InSn2Br5. Source: the Materials Project database, functional r²SCAN.

abc: 9.417 9.417 9.417
angles: 127.04 127.04 78.18
Positions (direct):
In  0.250  0.250  0.000
In  0.750  0.750  0.000
Sn  0.178  0.322  0.500
Sn  0.678  0.178  0.857
Sn  0.822  0.678  0.500
Sn  0.322  0.822  0.143
Br  0.700  0.200  0.173
Br  0.974  0.474  0.173
Br  0.300  0.800  0.827
Br  0.800  0.974  0.500
Br  0.474  0.300  0.500
Br  0.200  0.026  0.500
Br  0.000  0.000  0.000
Br  0.500  0.500  0.000
Br  0.026  0.526  0.827
Br  0.526  0.700  0.500

[8]
A relaxed structure of InSnBr3. Source: the Materials Project database, functional r²SCAN.

abc: 6.000 5.961 5.981
angles: 83.72 87.51 88.26
Positions (direct):
In  0.090  0.115  0.109
Sn  0.480  0.500  0.483
Br  0.022  0.468  0.454
Br  0.454  0.459  0.946
Br  0.455  0.967  0.447

[9]
A relaxed structure of Sr2InBr5. Source: the Materials Project database, functional r²SCAN.

abc: 8.358 9.360 13.370
angles: 89.86 90.00 90.00
Positions (direct):
Sr  0.028  0.499  0.821
Sr  0.972  0.501  0.179
Sr  0.528  0.501  0.679
Sr  0.472  0.499  0.321
Sr  0.073  0.749  0.506
Sr  0.927  0.251  0.494
Sr  0.573  0.251  0.994
Sr  0.427  0.749  0.006
In  0.011  0.995  0.828
In  0.989  0.005  0.172
In  0.511  0.005  0.672
In  0.489  0.995  0.328
Br  0.163  0.036  0.594
Br  0.837  0.964  0.406
Br  0.663  0.964  0.906
Br  0.337  0.036  0.094
Br  0.838  0.720  0.685
Br  0.162  0.280  0.315
Br  0.338  0.280  0.815
Br  0.662  0.720  0.185
Br  0.309  0.729  0.782
Br  0.691  0.271  0.218
Br  0.809  0.271  0.718
Br  0.191  0.729  0.282
Br  0.456  0.719  0.501
Br  0.544  0.281  0.499
Br  0.956  0.281  0.999
Br  0.044  0.719  0.001
Br  0.664  0.542  0.902
Br  0.336  0.458  0.098
Br  0.164  0.458  0.598
Br  0.836  0.542  0.402

[10]
A relaxed structure of In3Te3Br. Source: the Materials Project database, functional r²SCAN.

abc: 4.364 11.620 20.132
angles: 90.00 90.00 90.00
Positions (direct):
In  0.250  0.681  0.989
In  0.750  0.319  0.011
In  0.750  0.819  0.489
In  0.250  0.181  0.511
In  0.250  0.554  0.107
In  0.750  0.446  0.893
In  0.750  0.946  0.607
In  0.250  0.054  0.393
In  0.250  0.652  0.636
In  0.750  0.348  0.364
In  0.750  0.848  0.136
In  0.250  0.152  0.864
Te  0.250  0.740  0.201
Te  0.750  0.260  0.799
Te  0.750  0.760  0.701
Te  0.250  0.240  0.299
Te  0.250  0.658  0.495
Te  0.750  0.342  0.505
Te  0.750  0.842  0.995
Te  0.250  0.158  0.005
Te  0.250  0.592  0.858
Te  0.750  0.408  0.142
Te  0.750  0.908  0.358
Te  0.250  0.092  0.642
Br  0.250  0.942  0.829
Br  0.750  0.058  0.171
Br  0.750  0.558  0.329
Br  0.250  0.442  0.671

[11]
A relaxed structure of YbInBr3. Source: the Materials Project database, functional r²SCAN.

abc: 8.608 8.608 10.735
angles: 90.00 90.00 155.75
Positions (direct):
Yb  0.000  0.000  0.000
Yb  0.000  0.000  0.500
In  0.273  0.727  0.250
In  0.727  0.273  0.750
Br  0.623  0.377  0.037
Br  0.377  0.623  0.963
Br  0.377  0.623  0.537
Br  0.623  0.377  0.463
Br  0.963  0.037  0.250
Br  0.037  0.963  0.750

[12]
A relaxed structure of ZrIn2Br6. Source: the Materials Project database, functional r²SCAN.

abc: 7.322 7.322 11.030
angles: 90.00 90.00 90.00
Positions (direct):
Zr  0.000  0.000  0.500
Zr  0.500  0.500  0.000
In  0.000  0.500  0.250
In  0.000  0.500  0.750
In  0.500  0.000  0.750
In  0.500  0.000  0.250
Br  0.812  0.694  0.500
Br  0.194  0.312  0.000
Br  0.500  0.500  0.761
Br  0.306  0.812  0.500
Br  0.000  0.000  0.261
Br  0.806  0.688  0.000
Br  0.688  0.194  0.000
Br  0.312  0.806  0.000
Br  0.000  0.000  0.739
Br  0.188  0.306  0.500
Br  0.500  0.500  0.239
Br  0.694  0.188  0.500

[13]
A relaxed structure of IrBr3. Source: the Materials Project database, functional r²SCAN.

abc: 6.409 6.408 6.518
angles: 80.99 71.74 59.99
Positions (direct):
Ir  0.833  0.333  0.000
Ir  0.167  0.667  0.000
Br  0.572  0.352  0.775
Br  0.076  0.352  0.225
Br  0.780  0.000  0.225
Br  0.220  0.000  0.775
Br  0.924  0.648  0.775
Br  0.428  0.648  0.225

[14]
A relaxed structure of La3IrBr3. Source: the Materials Project database, functional r²SCAN.

abc: 10.611 10.612 10.617
angles: 109.49 109.08 109.83
Positions (direct):
La  0.267  0.751  0.233
La  0.483  0.748  0.016
La  0.233  0.467  0.484
La  0.017  0.034  0.267
La  0.235  0.266  0.751
La  0.015  0.484  0.749
La  0.485  0.234  0.469
La  0.265  0.016  0.031
La  0.748  0.233  0.264
La  0.752  0.017  0.484
La  0.468  0.483  0.236
La  0.032  0.268  0.016
Ir  0.500  0.000  0.250
Ir  0.250  0.500  0.000
Ir  0.000  0.250  0.500
Ir  0.251  0.250  0.250
Br  0.249  0.994  0.505
Br  0.511  0.506  0.755
Br  0.251  0.756  0.745
Br  0.989  0.744  0.995
Br  0.995  0.506  0.251
Br  0.745  0.994  0.990
Br  0.755  0.744  0.249
Br  0.505  0.755  0.510
Br  0.506  0.250  0.995
Br  0.756  0.512  0.505
Br  0.745  0.249  0.756
Br  0.994  0.989  0.744

[15]
A relaxed structure of Pr3IrBr3. Source: the Materials Project database, functional r²SCAN.

abc: 10.501 10.500 10.500
angles: 109.47 109.47 109.48
Positions (direct):
Pr  0.470  0.485  0.235
Pr  0.750  0.235  0.265
Pr  0.750  0.015  0.485
Pr  0.235  0.470  0.485
Pr  0.265  0.750  0.235
Pr  0.030  0.265  0.015
Pr  0.015  0.030  0.265
Pr  0.485  0.750  0.015
Pr  0.485  0.235  0.469
Pr  0.015  0.485  0.750
Pr  0.265  0.015  0.031
Pr  0.235  0.265  0.750
Ir  0.250  0.250  0.250
Ir  0.500  0.000  0.250
Ir  0.000  0.250  0.500
Ir  0.250  0.500  0.000
Br  0.250  0.756  0.744
Br  0.512  0.506  0.756
Br  0.988  0.744  0.994
Br  0.744  0.250  0.756
Br  0.994  0.988  0.744
Br  0.250  0.994  0.506
Br  0.756  0.512  0.506
Br  0.506  0.250  0.994
Br  0.756  0.744  0.250
Br  0.744  0.994  0.988
Br  0.994  0.506  0.250
Br  0.506  0.756  0.512

[16]
A relaxed structure of KBr. Source: the Materials Project database, functional r²SCAN.

abc: 4.659 4.659 4.659
angles: 60.00 60.00 60.00
Positions (direct):
K  0.000  0.000  0.000
Br  0.500  0.500  0.500

Number 1: DFT formation energy -1.800 eV per atom, size of the total moment 0.0 μB/f.u.. Number 2: DFT formation energy -0.897 eV per atom, size of the total moment 0.0 μB/f.u.. Number 3: DFT formation energy -0.930 eV per atom, size of the total moment 0.0 μB/f.u.. Number 4: DFT formation energy -0.890 eV per atom, size of the total moment 0.0 μB/f.u.. Number 5: DFT formation energy -1.081 eV per atom, size of the total moment 5.0 μB/f.u.. Number 6: DFT formation energy -0.785 eV per atom, size of the total moment 0.0 μB/f.u.. Number 7: DFT formation energy -0.817 eV per atom, size of the total moment 0.0 μB/f.u.. Number 8: DFT formation energy -0.759 eV per atom, size of the total moment 0.0 μB/f.u.. Number 9: DFT formation energy -2.001 eV per atom, size of the total moment 0.0 μB/f.u.. Number 10: DFT formation energy -0.590 eV per atom, size of the total moment 0.0 μB/f.u.. Number 11: DFT formation energy -1.412 eV per atom, size of the total moment 0.0 μB/f.u.. Number 12: DFT formation energy -1.267 eV per atom, size of the total moment 0.0 μB/f.u.. Number 13: DFT formation energy -0.418 eV per atom, size of the total moment 0.0 μB/f.u.. Number 14: DFT formation energy -1.752 eV per atom, size of the total moment 0.0 μB/f.u.. Number 15: DFT formation energy -1.633 eV per atom, size of the total moment 0.0 μB/f.u.. Number 16: DFT formation energy -1.986 eV per atom, size of the total moment 0.0 μB/f.u..